(1)
# BiBrO

An optimized crystal structure of BiBrO (PBE, the Materials Project).

Summary:
Its density is 7294 kg/m3. The value obtained for the corrected total energy (MP2020 scheme) is -14.61 eV/f.u. For the formation energy, the calculation gives -1377 meV per atom.

Cell: 3.953 3.953 8.884 Å, 90.00 90.00 90.00°
Space group P4/nmm (No. 129, origin choice 2)
Unique sites:
Bi (0.250, 0.250, 0.142) (multiplicity 2)
Br (0.250, 0.250, 0.677) (multiplicity 2)
O (0.250, 0.750, 0.000) (multiplicity 2)

=====

(2)
# Bi6Se3Br2O14

An optimized crystal structure of Bi6Se3Br2O14 (PBE, the Materials Project).

Summary:
Its density is 6875 kg/m3. The value obtained for the corrected total energy (MP2020 scheme) is -143.67 eV/f.u. For the formation energy, the calculation gives -1492 meV per atom.

Cell: 7.238 11.271 12.365 Å, 66.91 81.84 77.98°
Space group P-1 (No. 2)
Unique sites:
Bi (0.040, 0.136, 0.362) (multiplicity 2)
Bi (0.183, 0.746, 0.387) (multiplicity 2)
Bi (0.211, 0.793, 0.932) (multiplicity 2)
Bi (0.304, 0.421, 0.007) (multiplicity 2)
Bi (0.363, 0.040, 0.620) (multiplicity 2)
Bi (0.434, 0.688, 0.673) (multiplicity 2)
Se (0.033, 0.514, 0.205) (multiplicity 2)
Se (0.260, 0.391, 0.568) (multiplicity 2)
Se (0.315, 0.052, 0.135) (multiplicity 2)
Br (0.096, 0.111, 0.842) (multiplicity 2)
Br (0.443, 0.690, 0.165) (multiplicity 2)
O (0.075, 0.594, 0.051) (multiplicity 2)
O (0.087, 0.045, 0.560) (multiplicity 2)
O (0.119, 0.174, 0.118) (multiplicity 2)
O (0.132, 0.290, 0.544) (multiplicity 2)
O (0.160, 0.550, 0.802) (multiplicity 2)
O (0.190, 0.748, 0.562) (multiplicity 2)
O (0.217, 0.384, 0.220) (multiplicity 2)
O (0.234, 0.831, 0.739) (multiplicity 2)
O (0.242, 0.522, 0.435) (multiplicity 2)
O (0.291, 0.964, 0.288) (multiplicity 2)
O (0.412, 0.612, 0.920) (multiplicity 2)
O (0.459, 0.125, 0.426) (multiplicity 2)
O (0.482, 0.142, 0.135) (multiplicity 2)
O (0.483, 0.307, 0.546) (multiplicity 2)

=====

(3)
# SrBi3Br3O4

An optimized crystal structure of SrBi3Br3O4 (PBE, the Materials Project).

Summary:
Its density is 7057 kg/m3. The value obtained for the corrected total energy (MP2020 scheme) is -56.99 eV/f.u. For the formation energy, the calculation gives -1720 meV per atom.

Cell: 4.002 4.002 29.918 Å, 90.00 90.00 90.00°
Space group I4mm (No. 107)
Unique sites:
Sr (0.000, 0.000, 0.000) (multiplicity 2)
Bi (0.000, 0.000, 0.271) (multiplicity 2)
Bi (0.000, 0.000, 0.417) (multiplicity 2)
Bi (0.000, 0.000, 0.687) (multiplicity 2)
Br (0.000, 0.000, 0.140) (multiplicity 2)
Br (0.000, 0.000, 0.554) (multiplicity 2)
Br (0.000, 0.000, 0.828) (multiplicity 2)
O (0.000, 0.500, 0.231) (multiplicity 4)
O (0.000, 0.500, 0.450) (multiplicity 4)

=====

(4)
# SrBi2Br2O3

An optimized crystal structure of SrBi2Br2O3 (PBE, the Materials Project).

Summary:
Its density is 6584 kg/m3. The value obtained for the corrected total energy (MP2020 scheme) is -41.09 eV/f.u. For the formation energy, the calculation gives -1688 meV per atom.

Cell: 4.075 4.075 21.671 Å, 90.00 90.00 90.00°
Space group P4/nmm (No. 129, origin choice 2)
Unique sites:
Sr (0.250, 0.250, 0.054) (multiplicity 2)
Bi (0.250, 0.250, 0.254) (multiplicity 2)
Bi (0.250, 0.250, 0.636) (multiplicity 2)
Br (0.250, 0.250, 0.435) (multiplicity 2)
Br (0.250, 0.250, 0.829) (multiplicity 2)
O (0.250, 0.750, 0.000) (multiplicity 2)
O (0.250, 0.750, 0.307) (multiplicity 4)

=====

(5)
# TaBi4BrO8

An optimized crystal structure of TaBi4BrO8 (PBE, the Materials Project).

Summary:
Its density is 8744 kg/m3. The value obtained for the corrected total energy (MP2020 scheme) is -97.47 eV/f.u. For the formation energy, the calculation gives -2059 meV per atom.

Cell: 5.546 5.610 29.900 Å, 90.00 90.00 90.00°
Space group Pbcn (No. 60)
Unique sites:
Ta (0.000, 0.016, 0.250) (multiplicity 4)
Bi (0.008, 0.012, 0.572) (multiplicity 8)
Bi (0.025, 0.444, 0.341) (multiplicity 8)
Br (0.000, 0.500, 0.000) (multiplicity 4)
O (0.096, 0.068, 0.314) (multiplicity 8)
O (0.243, 0.242, 0.110) (multiplicity 8)
O (0.247, 0.298, 0.235) (multiplicity 8)
O (0.249, 0.252, 0.892) (multiplicity 8)

=====

(6)
# Bi10Te2Br4O17

An optimized crystal structure of Bi10Te2Br4O17 (PBE, the Materials Project).

Summary:
Its density is 8189 kg/m3. The value obtained for the corrected total energy (MP2020 scheme) is -185.88 eV/f.u. For the formation energy, the calculation gives -1516 meV per atom.

Cell: 5.604 5.604 37.926 Å, 90.00 90.00 90.00°
Space group I4mm (No. 107)
Unique sites:
Bi (0.000, 0.000, 0.000) (multiplicity 2)
Bi (0.000, 0.000, 0.115) (multiplicity 2)
Bi (0.000, 0.000, 0.363) (multiplicity 2)
Bi (0.000, 0.000, 0.500) (multiplicity 2)
Bi (0.000, 0.000, 0.620) (multiplicity 2)
Bi (0.000, 0.000, 0.863) (multiplicity 2)
Bi (0.000, 0.500, 0.184) (multiplicity 4)
Bi (0.000, 0.500, 0.431) (multiplicity 4)
Te (0.000, 0.000, 0.257) (multiplicity 2)
Te (0.000, 0.000, 0.744) (multiplicity 2)
Br (0.000, 0.500, 0.064) (multiplicity 4)
Br (0.000, 0.500, 0.312) (multiplicity 4)
O (0.000, 0.000, 0.695) (multiplicity 2)
O (0.230, 0.230, 0.232) (multiplicity 8)
O (0.242, 0.242, 0.147) (multiplicity 8)
O (0.250, 0.250, 0.393) (multiplicity 8)
O (0.250, 0.250, 0.472) (multiplicity 8)

=====

(7)
# Pr5Bi3Br

An optimized crystal structure of Pr5Bi3Br (PBE, the Materials Project).

Summary:
Its density is 8474 kg/m3. The value obtained for the corrected total energy (MP2020 scheme) is -46.83 eV/f.u. For the formation energy, the calculation gives -1069 meV per atom.

Cell: 9.7227 9.7227 6.7569 Å, 90.00 90.00 120.00°
Space group P6_3/mcm (No. 193)
Unique sites:
Pr (0.0000, 0.2735, 0.2500) (multiplicity 6)
Pr (0.3333, 0.6667, 0.0000) (multiplicity 4)
Bi (0.0000, 0.3841, 0.7500) (multiplicity 6)
Br (0.0000, 0.0000, 0.0000) (multiplicity 2)

=====

(8)
# Rb3BiBr6

An optimized crystal structure of Rb3BiBr6 (PBE, the Materials Project).

Summary:
Its density is 3419 kg/m3. The value obtained for the corrected total energy (MP2020 scheme) is -33.16 eV/f.u. As for the energy above the most stable polymorph in this dataset: 0.0749 eV/atom. For the formation energy, the calculation gives -1650 meV per atom.

Cell: 12.244 12.244 12.244 Å, 90.00 90.00 90.00°
Space group Fm-3m (No. 225)
Unique sites:
Rb (0.000, 0.000, 0.000) (multiplicity 4)
Rb (0.250, 0.250, 0.250) (multiplicity 8)
Bi (0.000, 0.000, 0.500) (multiplicity 4)
Br (0.000, 0.000, 0.266) (multiplicity 24)

=====

(9)
# Rb3BiBr6

An optimized crystal structure of Rb3BiBr6 (PBE, the Materials Project).

Summary:
Its density is 3882 kg/m3. The value obtained for the corrected total energy (MP2020 scheme) is -33.91 eV/f.u. As for the energy above the most stable polymorph in this dataset: 0.0000 eV/atom. For the formation energy, the calculation gives -1725 meV per atom.

Cell: 13.665 27.337 8.655 Å, 90.00 90.00 90.00°
Space group Pnma (No. 62)
Unique sites:
Rb (0.006, 0.159, 0.070) (multiplicity 8)
Rb (0.156, 0.159, 0.566) (multiplicity 8)
Rb (0.179, 0.546, 0.563) (multiplicity 8)
Bi (0.000, 0.000, 0.000) (multiplicity 4)
Bi (0.170, 0.750, 0.497) (multiplicity 4)
Br (0.023, 0.250, 0.359) (multiplicity 4)
Br (0.065, 0.048, 0.283) (multiplicity 8)
Br (0.110, 0.672, 0.296) (multiplicity 8)
Br (0.115, 0.069, 0.827) (multiplicity 8)
Br (0.138, 0.250, 0.855) (multiplicity 4)
Br (0.169, 0.562, 0.996) (multiplicity 8)
Br (0.229, 0.672, 0.710) (multiplicity 8)

=====

(10)
# Bi12Rh3Br2

An optimized crystal structure of Bi12Rh3Br2 (PBE, the Materials Project).

Summary:
Its density is 9739 kg/m3. The value obtained for the corrected total energy (MP2020 scheme) is -77.47 eV/f.u. For the formation energy, the calculation gives -319 meV per atom.

Cell: 7.345 17.050 32.417 Å, 90.00 90.00 90.00°
Space group Fddd (No. 70, origin choice 2)
Unique sites:
Bi (0.004, 0.000, 0.178) (multiplicity 32)
Bi (0.082, 0.338, 0.513) (multiplicity 32)
Bi (0.088, 0.322, 0.928) (multiplicity 32)
Rh (0.000, 0.000, 0.000) (multiplicity 16)
Rh (0.125, 0.125, 0.125) (multiplicity 8)
Br (0.125, 0.333, 0.625) (multiplicity 16)